Computed, not measured: a relaxed structure of Pr3GePO9 at the GGA-PBE level of DFT.

Results
The calculation puts the magnetic moment at 0.000 μB per atom. Its space group is No. 14. Its total DFT energy (no corrections) is -437.65 eV per cell. The formation energy from the elements is -46.7 eV/f.u.

Geometry as extended XYZ:
```
56
Lattice="7.134 0.000 0.000 0.000 12.615 0.000 -4.313 0.000 8.872" Properties=species:S:1:pos:R:3 pbc="T T T"
Pr -1.325 1.683 3.288
Pr -3.482 4.624 7.724
Pr -1.174 7.692 7.764
Pr 0.983 11.231 3.329
Pr 2.146 1.627 1.279
Pr -0.011 4.680 5.714
Pr 2.832 7.935 3.157
Pr 0.675 10.988 7.593
Pr 1.838 1.384 5.543
Pr 3.995 4.923 1.107
Pr 6.303 7.991 1.147
Pr 4.146 10.932 5.583
Ge -1.777 1.294 6.525
Ge 0.379 5.014 2.089
Ge 2.442 7.602 6.783
Ge 4.598 11.321 2.347
P -0.677 8.369 4.639
P 1.480 10.554 0.203
P 1.341 2.061 8.669
P 3.498 4.247 4.233
O -0.455 1.975 0.957
O -2.612 4.332 5.393
O -3.488 7.253 8.087
O -1.332 11.669 3.651
O -2.538 2.200 7.812
O -0.381 4.108 3.376
O -1.098 9.379 5.768
O 1.059 9.544 1.332
O -0.571 7.009 5.382
O 1.586 11.913 0.946
O 0.890 6.671 2.421
O -1.266 12.251 6.857
O -0.504 2.195 5.625
O 1.652 4.113 1.189
O 1.023 0.990 3.340
O -1.133 5.318 7.776
O 0.671 8.879 4.072
O -1.486 10.044 8.508
O 4.307 2.571 0.364
O 2.150 3.737 4.800
O 3.954 7.298 1.096
O 1.798 11.625 5.532
O 1.169 8.502 7.683
O 3.325 10.420 3.247
O 4.087 0.364 2.015
O 1.931 5.944 6.451
O 1.235 0.702 7.926
O 3.392 5.606 3.490
O 1.762 3.071 7.540
O 3.919 3.236 3.104
O 3.202 8.507 5.496
O 5.359 10.416 1.060
O 4.153 0.946 5.221
O 6.310 5.362 0.785
O 5.433 8.283 3.479
O 3.276 10.640 7.915
```